The following is a DFT calculation (GGA-PBE) of a geometry-optimized CsScCl3 structure.

a = 7.6437 Å, b = 7.6437 Å, c = 6.0031 Å
α = 90.00°, β = 90.00°, γ = 120.00°
Fractional coordinates of all 10 atoms:
1 Cs 0.6667 0.3333 0.2500
2 Cs 0.3333 0.6667 0.7500
3 Sc 0.0000 0.0000 0.0000
4 Sc 0.0000 0.0000 0.5000
5 Cl 0.1603 0.3207 0.2500
6 Cl 0.6793 0.8397 0.2500
7 Cl 0.1603 0.8397 0.2500
8 Cl 0.8397 0.1603 0.7500
9 Cl 0.8397 0.6793 0.7500
10 Cl 0.3207 0.1603 0.7500

Summary:
crystal system: hexagonal

---

The following is a DFT calculation (GGA-PBE) of a geometry-optimized Cs3ScCl6 structure.

a = 13.9740 Å, b = 13.9740 Å, c = 13.1338 Å
α = 80.45°, β = 80.45°, γ = 34.73°
Fractional coordinates of all 40 atoms:
1 Cs 0.0273 0.6461 0.8014
2 Cs 0.3539 0.9727 0.6986
3 Cs 0.9727 0.3539 0.1986
4 Cs 0.6461 0.0273 0.3014
5 Cs 0.8389 0.4674 0.8556
6 Cs 0.5326 0.1611 0.6444
7 Cs 0.1611 0.5326 0.1444
8 Cs 0.4674 0.8389 0.3556
9 Cs 0.8041 0.2972 0.5653
10 Cs 0.7028 0.1959 0.9347
11 Cs 0.1959 0.7028 0.4347
12 Cs 0.2972 0.8041 0.0653
13 Sc 0.2218 0.7782 0.7500
14 Sc 0.7782 0.2218 0.2500
15 Sc 0.0000 0.5000 0.5000
16 Sc 0.5000 0.0000 0.0000
17 Cl 0.9467 0.9458 0.1918
18 Cl 0.0542 0.0533 0.3082
19 Cl 0.0533 0.0542 0.8082
20 Cl 0.9458 0.9467 0.6918
21 Cl 0.3820 0.5099 0.6871
22 Cl 0.4901 0.6180 0.8129
23 Cl 0.6180 0.4901 0.3129
24 Cl 0.5099 0.3820 0.1871
25 Cl 0.1672 0.7221 0.9237
26 Cl 0.2779 0.8328 0.5763
27 Cl 0.8328 0.2779 0.0763
28 Cl 0.7221 0.1672 0.4237
29 Cl 0.8634 0.7666 0.5362
30 Cl 0.2334 0.1366 0.9638
31 Cl 0.1366 0.2334 0.4638
32 Cl 0.7666 0.8634 0.0362
33 Cl 0.1284 0.3712 0.6739
34 Cl 0.6288 0.8716 0.8261
35 Cl 0.8716 0.6288 0.3261
36 Cl 0.3712 0.1284 0.1739
37 Cl 0.7452 0.6094 0.5769
38 Cl 0.3906 0.2548 0.9231
39 Cl 0.2548 0.3906 0.4231
40 Cl 0.6094 0.7452 0.0769

Summary:
crystal system: monoclinic

---

The following is a DFT calculation (GGA-PBE) of a geometry-optimized Cs3Sc2Cl9 structure.

a = 9.7373 Å, b = 9.7373 Å, c = 9.7373 Å
α = 84.19°, β = 84.19°, γ = 84.19°
Fractional coordinates of all 28 atoms:
1 Cs 0.2500 0.9141 0.5859
2 Cs 0.0859 0.4141 0.7500
3 Cs 0.9141 0.5859 0.2500
4 Cs 0.4141 0.7500 0.0859
5 Cs 0.5859 0.2500 0.9141
6 Cs 0.7500 0.0859 0.4141
7 Sc 0.1530 0.1530 0.1530
8 Sc 0.6530 0.6530 0.6530
9 Sc 0.3470 0.3470 0.3470
10 Sc 0.8470 0.8470 0.8470
11 Cl 0.3976 0.1024 0.2500
12 Cl 0.2500 0.3976 0.1024
13 Cl 0.2456 0.5717 0.4098
14 Cl 0.9283 0.2544 0.0902
15 Cl 0.9098 0.0717 0.7456
16 Cl 0.5717 0.4098 0.2456
17 Cl 0.1024 0.2500 0.3976
18 Cl 0.4283 0.5902 0.7544
19 Cl 0.4098 0.2456 0.5717
20 Cl 0.8976 0.7500 0.6024
21 Cl 0.6024 0.8976 0.7500
22 Cl 0.7544 0.4283 0.5902
23 Cl 0.7500 0.6024 0.8976
24 Cl 0.0717 0.7456 0.9098
25 Cl 0.5902 0.7544 0.4283
26 Cl 0.2544 0.0902 0.9283
27 Cl 0.0902 0.9283 0.2544
28 Cl 0.7456 0.9098 0.0717

Summary:
crystal system: trigonal

---

The following is a DFT calculation (GGA-PBE) of a geometry-optimized Cs3ScCl6 structure.

a = 8.1776 Å, b = 8.1776 Å, c = 8.1776 Å
α = 60.00°, β = 60.00°, γ = 60.00°
Fractional coordinates of all 10 atoms:
1 Cs 0.7500 0.7500 0.7500
2 Cs 0.2500 0.2500 0.2500
3 Cs 0.5000 0.5000 0.5000
4 Sc 0.0000 0.0000 0.0000
5 Cl 0.7835 0.2165 0.2165
6 Cl 0.2165 0.2165 0.7835
7 Cl 0.2165 0.7835 0.7835
8 Cl 0.2165 0.7835 0.2165
9 Cl 0.7835 0.2165 0.7835
10 Cl 0.7835 0.7835 0.2165

Summary:
crystal system: cubic

---

The following is a DFT calculation (GGA-PBE) of a geometry-optimized Cs2ScTlCl6 structure.

a = 7.9237 Å, b = 7.9237 Å, c = 7.9237 Å
α = 60.00°, β = 60.00°, γ = 60.00°
Fractional coordinates of all 10 atoms:
1 Cs 0.7500 0.7500 0.7500
2 Cs 0.2500 0.2500 0.2500
3 Sc 0.0000 0.0000 0.0000
4 Tl 0.5000 0.5000 0.5000
5 Cl 0.7764 0.2236 0.2236
6 Cl 0.2236 0.2236 0.7764
7 Cl 0.2236 0.7764 0.7764
8 Cl 0.2236 0.7764 0.2236
9 Cl 0.7764 0.2236 0.7764
10 Cl 0.7764 0.7764 0.2236

Summary:
crystal system: cubic

---

The following is a DFT calculation (GGA-PBE) of a geometry-optimized Cs3SmCl6 structure.

a = 8.4689 Å, b = 8.4689 Å, c = 8.4689 Å
α = 60.00°, β = 60.00°, γ = 60.00°
Fractional coordinates of all 10 atoms:
1 Cs 0.7500 0.7500 0.7500
2 Cs 0.2500 0.2500 0.2500
3 Cs 0.5000 0.5000 0.5000
4 Sm 0.0000 0.0000 0.0000
5 Cl 0.7744 0.2256 0.2256
6 Cl 0.2256 0.2256 0.7744
7 Cl 0.2256 0.7744 0.7744
8 Cl 0.2256 0.7744 0.2256
9 Cl 0.7744 0.2256 0.7744
10 Cl 0.7744 0.7744 0.2256

Summary:
crystal system: cubic

---

Corrected total energy (MP2020 scheme) across the listed records, respectively: -4.892; -4.471; -4.810; -4.434; -4.416; -4.320 eV per atom.
Calculated volume across the listed records, respectively: 30.37; 35.97; 32.50; 38.67; 35.18; 42.95 A^3/atom.